(1)
Computed, not measured: crystalline Na2Al2Si3O14 at its relaxed geometry at the PBE level of DFT.

Computed properties:
Space group   No. 43
Formation enthalpy at 0 K   -2234 meV per atom
Relative energy among the computed polymorphs   72.4 meV per atom

Geometry as extended XYZ:
```
42
Lattice="0.0000 9.3323 3.3657 9.1027 0.0000 3.3657 9.1027 9.3323 0.0000" Properties=species:S:1:pos:R:3 pbc="T T T"
Na 9.5814 5.2221 3.3657
Na 13.1753 9.8883 5.0486
Na 8.6240 13.4426 3.3657
Na 14.1327 18.1088 5.0486
Al 12.9956 6.4363 3.4094
Al 8.4442 7.5622 5.0923
Al 9.7611 11.1025 5.0923
Al 5.2098 12.2283 3.4094
Si 9.1027 9.3323 0.9818
Si 10.8762 8.6222 3.4565
Si 4.5513 4.6662 2.6647
Si 7.3291 10.0425 3.4565
Si 15.4276 14.7087 5.1394
Si 11.8805 13.2884 5.1394
O 11.8598 5.3085 2.6848
O 9.4939 1.2756 3.3996
O 7.8517 6.1506 1.5510
O 4.9426 3.3906 1.7167
O 10.3835 8.9404 1.9145
O 2.7523 1.9753 1.6920
O 14.9050 10.8168 3.2338
O 7.3036 2.6909 3.3748
O 12.4303 8.1081 3.3676
O 6.3504 7.3570 1.6920
O 1.2510 3.1817 1.5510
O 4.1601 5.9418 1.7167
O 7.8219 9.7243 1.9145
O 9.8991 7.4836 4.0974
O 5.8321 5.0581 3.5973
O 12.3732 13.6066 3.5973
O 10.8969 9.9747 4.3677
O 16.9816 15.2227 5.0505
O 7.3084 8.6900 4.3677
O 3.3003 7.8479 3.2338
O 5.7751 10.5565 3.3676
O 8.3063 11.1811 4.0974
O 10.9017 15.9738 3.3748
O 6.3456 13.3561 2.6848
O 12.8576 12.1498 5.7802
O 10.3264 12.7743 5.0505
O 14.4504 15.8472 5.7802
O 8.7114 17.3891 3.3996
```



(2)
Computed, not measured: crystalline SbPbClO2 at its relaxed geometry at the PBE level of DFT.

Computed properties:
Space group   No. 63
Formation enthalpy at 0 K   -1588 meV per atom

Geometry as extended XYZ:
```
10
Lattice="2.8375 -6.2874 0.0000 2.8375 6.2874 0.0000 0.0000 0.0000 5.5058" Properties=species:S:1:pos:R:3 pbc="T T T"
Sb 2.8375 5.3068 4.1294
Sb 2.8375 -5.3068 1.3765
Pb 2.8375 1.4923 4.1294
Pb 2.8375 -1.4923 1.3765
Cl 2.8375 3.1060 1.3765
Cl 2.8375 -3.1060 4.1294
O 1.2920 0.0000 0.0000
O 1.2920 0.0000 2.7529
O 4.3831 0.0000 0.0000
O 4.3831 0.0000 2.7529
```



(3)
Computed, not measured: crystalline Li2Te2O5 at its relaxed geometry at the PBE level of DFT.

Computed properties:
Space group   No. 56
Formation enthalpy at 0 K   -1849 meV per atom

Geometry as extended XYZ:
```
72
Lattice="8.4512 0.0000 0.0000 0.0000 24.5153 0.0000 0.0000 0.0000 5.3180" Properties=species:S:1:pos:R:3 pbc="T T T"
Li 1.2902 2.0031 0.7268
Li 1.2902 10.2546 3.3859
Li 1.3466 4.1453 4.3915
Li 1.3466 8.1124 1.7325
Li 2.8790 4.1453 1.7325
Li 2.8790 8.1124 4.3915
Li 2.9353 2.0031 3.3859
Li 2.9353 10.2546 0.7268
Li 5.5158 14.2607 4.5912
Li 5.5158 22.5122 1.9322
Li 5.5722 16.4029 0.9265
Li 5.5722 20.3700 3.5855
Li 7.1045 16.4029 3.5855
Li 7.1045 20.3700 0.9265
Li 7.1609 14.2607 1.9322
Li 7.1609 22.5122 4.5912
Te 0.4998 17.0130 0.8857
Te 0.4998 19.7599 3.5447
Te 0.5668 13.6438 4.5833
Te 0.5668 23.1291 1.9243
Te 3.6588 13.6438 1.9243
Te 3.6588 23.1291 4.5833
Te 3.7257 17.0130 3.5447
Te 3.7257 19.7599 0.8857
Te 4.7254 4.7554 4.4324
Te 4.7254 7.5023 1.7733
Te 4.7924 1.3862 0.7347
Te 4.7924 10.8715 3.3938
Te 7.8843 1.3862 3.3938
Te 7.8843 10.8715 0.7347
Te 7.9513 4.7554 1.7733
Te 7.9513 7.5023 4.4324
O 0.0137 13.0923 1.0209
O 0.0137 23.6807 3.6799
O 0.2436 5.4321 3.3776
O 0.2436 6.8255 0.7186
O 1.0262 3.9529 1.0349
O 1.0262 8.3047 3.6939
O 1.0657 2.0341 4.0673
O 1.0657 10.2235 1.4082
O 1.2253 15.3931 5.3075
O 1.2253 21.3799 2.6485
O 3.0003 15.3931 2.6485
O 3.0003 21.3799 5.3075
O 3.1599 2.0341 1.4082
O 3.1599 10.2235 4.0673
O 3.1994 3.9529 3.6939
O 3.1994 8.3047 1.0349
O 3.9820 5.4321 0.7186
O 3.9820 6.8255 3.3776
O 4.2119 13.0923 3.6799
O 4.2119 23.6807 1.0209
O 4.2393 0.8346 4.2972
O 4.2393 11.4230 1.6381
O 4.4691 17.6897 1.9404
O 4.4691 19.0832 4.5994
O 5.2517 16.2106 4.2831
O 5.2517 20.5624 1.6241
O 5.2912 14.2918 1.2508
O 5.2912 22.4812 3.9098
O 5.4509 3.1354 0.0105
O 5.4509 9.1222 2.6695
O 7.2259 3.1354 2.6695
O 7.2259 9.1222 0.0105
O 7.3855 14.2918 3.9098
O 7.3855 22.4812 1.2508
O 7.4250 16.2106 1.6241
O 7.4250 20.5624 4.2831
O 8.2076 17.6897 4.5994
O 8.2076 19.0832 1.9404
O 8.4374 0.8346 1.6381
O 8.4374 11.4230 4.2972
```



(4)
Computed, not measured: crystalline Ta3FeS6 at its relaxed geometry at the PBE level of DFT.

Computed properties:
Space group   No. 182
Formation enthalpy at 0 K   -1290 meV per atom

Geometry as extended XYZ:
```
20
Lattice="5.7441 0.0000 0.0000 -2.8720 4.9745 0.0000 0.0000 0.0000 11.7002" Properties=species:S:1:pos:R:3 pbc="T T T"
Ta 0.0000 0.0000 0.0000
Ta 0.0000 0.0000 5.8501
Ta 0.0000 3.3163 0.0516
Ta 0.0000 3.3163 5.7985
Ta 2.8720 1.6582 5.9016
Ta 2.8720 1.6582 11.6486
Fe 0.0000 3.3163 8.7751
Fe 2.8720 1.6582 2.9250
S -0.9411 1.6773 10.1199
S -1.8899 3.3208 7.4304
S 0.9411 1.6773 7.4304
S -0.9489 4.9508 10.1199
S 1.9232 0.0237 1.5803
S 0.9821 1.6537 4.2698
S 1.8899 3.3208 10.1199
S 0.9489 4.9508 7.4304
S 3.8209 0.0237 4.2698
S 1.9310 3.2972 1.5803
S 4.7620 1.6537 1.5803
S 3.8131 3.2972 4.2698
```



(5)
Computed, not measured: crystalline La2TlHg at its relaxed geometry at the PBE level of DFT.

Computed properties:
Space group   No. 225
Formation enthalpy at 0 K   -460 meV per atom

Geometry as extended XYZ:
```
4
Lattice="0.0000 3.9646 3.9646 3.9646 0.0000 3.9646 3.9646 3.9646 0.0000" Properties=species:S:1:pos:R:3 pbc="T T T"
La 1.9823 1.9823 1.9823
La 5.9470 5.9470 5.9470
Tl 0.0000 0.0000 0.0000
Hg 3.9646 3.9646 3.9646
```



(6)
Computed, not measured: crystalline SrSnPt at its relaxed geometry at the PBE level of DFT.

Computed properties:
Space group   No. 62
Formation enthalpy at 0 K   -854 meV per atom

Geometry as extended XYZ:
```
12
Lattice="7.7325 0.0000 0.0000 0.0000 4.7703 0.0000 0.0000 0.0000 8.1118" Properties=species:S:1:pos:R:3 pbc="T T T"
Sr 0.1442 1.1926 1.4801
Sr 3.7220 3.5777 5.5360
Sr 4.0105 1.1926 2.5758
Sr 7.5883 3.5777 6.6317
Sn 1.2559 1.1926 4.6641
Sn 2.6104 3.5777 0.6082
Sn 5.1221 1.1926 7.5035
Sn 6.4766 3.5777 3.4477
Pt 1.5609 3.5777 3.1938
Pt 2.3053 1.1926 7.2497
Pt 5.4272 3.5777 0.8621
Pt 6.1716 1.1926 4.9180
```



(7)
Computed, not measured: crystalline NaPr3Ge4O13 at its relaxed geometry at the PBE level of DFT.

Computed properties:
Space group   No. 2
Formation enthalpy at 0 K   -2796 meV per atom

Geometry as extended XYZ:
```
42
Lattice="6.9482 0.0000 0.0000 -0.2025 7.1979 0.0000 -1.7979 -2.6161 11.6194" Properties=species:S:1:pos:R:3 pbc="T T T"
Na 0.1643 1.2944 4.0526
Na 4.7835 3.2874 7.5668
Pr -0.4340 5.0057 4.1187
Pr 0.2333 1.9684 10.0482
Pr 2.6095 6.4976 1.9183
Pr 2.3383 -1.9158 9.7011
Pr 4.7145 2.6134 1.5712
Pr 5.3818 -0.4239 7.5007
Ge -0.8323 -1.6241 10.4336
Ge 1.2836 2.8484 1.4004
Ge 0.9500 3.1624 6.9152
Ge 1.7536 0.1159 6.5915
Ge 3.1942 4.4659 5.0279
Ge 3.9978 1.4194 4.7042
Ge 3.6642 1.7334 10.2190
Ge 5.7800 6.2059 1.1858
O 0.2873 2.0902 0.0871
O -0.0219 3.1206 2.5532
O 0.1744 6.6091 2.2642
O 0.0636 3.2034 5.4430
O 0.3517 -0.7689 6.0269
O 0.2039 -0.5265 9.4687
O 0.2771 3.9185 8.3398
O 0.0616 4.3315 11.0892
O 0.9999 1.4564 7.5622
O 2.2242 4.2380 0.8254
O 2.0436 5.2406 3.9790
O 2.5119 1.6833 1.8506
O 2.3100 0.8851 5.0509
O 2.6378 3.6968 6.5685
O 2.4358 2.8985 9.7688
O 2.9042 -0.6588 7.6404
O 2.7235 0.3438 10.7940
O 3.9479 3.1254 4.0572
O 4.8862 0.2503 0.5302
O 4.6707 0.6633 3.2796
O 4.7438 5.1083 2.1507
O 4.5960 5.3507 5.5926
O 4.8842 1.3785 6.1764
O 4.7733 -2.0273 9.3552
O 4.9696 1.4612 9.0662
O 4.6605 2.4916 11.5323
```



(8)
Computed, not measured: crystalline Ta2Bi4Br7O2 at its relaxed geometry at the PBE level of DFT.

Computed properties:
Space group   No. 128
Formation enthalpy at 0 K   -1150 meV per atom

Geometry as extended XYZ:
```
120
Lattice="14.9937 0.0000 0.0000 0.0000 14.9937 0.0000 0.0000 0.0000 18.5269" Properties=species:S:1:pos:R:3 pbc="T T T"
Ta 0.0000 7.4969 2.5377
Ta 0.0000 7.4969 6.7257
Ta 0.0000 7.4969 11.8012
Ta 0.0000 7.4969 15.9892
Ta 1.7852 5.2644 0.0000
Ta 2.2324 5.7117 9.2635
Ta 5.2644 13.2085 0.0000
Ta 5.7117 12.7613 9.2635
Ta 7.4969 0.0000 2.5377
Ta 7.4969 0.0000 6.7257
Ta 7.4969 0.0000 11.8012
Ta 7.4969 0.0000 15.9892
Ta 9.2820 2.2324 9.2635
Ta 9.7293 1.7852 0.0000
Ta 12.7613 9.2820 9.2635
Ta 13.2085 9.7293 0.0000
Bi 0.1291 12.7910 3.4513
Bi 0.1291 12.7910 15.0756
Bi 1.4385 1.6662 6.1437
Bi 1.4385 1.6662 12.3832
Bi 1.6662 13.5553 6.1437
Bi 1.6662 13.5553 12.3832
Bi 2.2027 0.1291 3.4513
Bi 2.2027 0.1291 15.0756
Bi 5.2942 7.6260 5.8122
Bi 5.2942 7.6260 12.7148
Bi 5.8307 6.0584 3.1198
Bi 5.8307 6.0584 15.4071
Bi 6.0584 9.1630 3.1198
Bi 6.0584 9.1630 15.4071
Bi 7.3677 5.2942 5.8122
Bi 7.3677 5.2942 12.7148
Bi 7.6260 9.6995 5.8122
Bi 7.6260 9.6995 12.7148
Bi 8.9353 5.8307 3.1198
Bi 8.9353 5.8307 15.4071
Bi 9.1630 8.9353 3.1198
Bi 9.1630 8.9353 15.4071
Bi 9.6995 7.3677 5.8122
Bi 9.6995 7.3677 12.7148
Bi 12.7910 14.8646 3.4513
Bi 12.7910 14.8646 15.0756
Bi 13.3275 1.4385 6.1437
Bi 13.3275 1.4385 12.3832
Bi 13.5553 13.3275 6.1437
Bi 13.5553 13.3275 12.3832
Bi 14.8646 2.2027 3.4513
Bi 14.8646 2.2027 15.0756
Br 0.2140 11.2833 0.0000
Br 0.6863 3.6635 9.2635
Br 1.2646 6.2323 4.6317
Br 1.2646 6.2323 13.8952
Br 1.6742 9.3611 6.5344
Br 1.6742 9.3611 11.9925
Br 1.8642 9.1710 2.7291
Br 1.8642 9.1710 15.7978
Br 2.8557 3.8698 1.8644
Br 2.8557 3.8698 16.6625
Br 3.6270 4.6411 7.3991
Br 3.6270 4.6411 11.1278
Br 3.6635 14.3074 9.2635
Br 3.7104 0.2140 0.0000
Br 3.7864 7.7109 9.2635
Br 3.8333 6.8105 0.0000
Br 3.8698 12.1380 1.8644
Br 3.8698 12.1380 16.6625
Br 4.6411 11.3667 7.3991
Br 4.6411 11.3667 11.1278
Br 5.6326 1.6742 6.5344
Br 5.6326 1.6742 11.9925
Br 5.8227 1.8642 2.7291
Br 5.8227 1.8642 15.7978
Br 6.2323 13.7291 4.6317
Br 6.2323 13.7291 13.8952
Br 6.8105 11.1604 0.0000
Br 7.2828 3.7864 9.2635
Br 7.7109 11.2073 9.2635
Br 8.1832 3.8333 0.0000
Br 8.7614 1.2646 4.6317
Br 8.7614 1.2646 13.8952
Br 9.1710 13.1295 2.7291
Br 9.1710 13.1295 15.7978
Br 9.3611 13.3195 6.5344
Br 9.3611 13.3195 11.9925
Br 10.3526 3.6270 7.3991
Br 10.3526 3.6270 11.1278
Br 11.1239 2.8557 1.8644
Br 11.1239 2.8557 16.6625
Br 11.1604 8.1832 0.0000
Br 11.2073 7.2828 9.2635
Br 11.2833 14.7797 0.0000
Br 11.3302 0.6863 9.2635
Br 11.3667 10.3526 7.3991
Br 11.3667 10.3526 11.1278
Br 12.1380 11.1239 1.8644
Br 12.1380 11.1239 16.6625
Br 13.1295 5.8227 2.7291
Br 13.1295 5.8227 15.7978
Br 13.3195 5.6326 6.5344
Br 13.3195 5.6326 11.9925
Br 13.7291 8.7614 4.6317
Br 13.7291 8.7614 13.8952
Br 14.3074 11.3302 9.2635
Br 14.7797 3.7104 0.0000
O 0.9477 6.3885 1.3623
O 0.9477 6.3885 17.1646
O 1.1083 6.5491 7.9011
O 1.1083 6.5491 10.6258
O 6.3885 14.0460 1.3623
O 6.3885 14.0460 17.1646
O 6.5491 13.8854 7.9011
O 6.5491 13.8854 10.6258
O 8.4446 1.1083 7.9011
O 8.4446 1.1083 10.6258
O 8.6052 0.9477 1.3623
O 8.6052 0.9477 17.1646
O 13.8854 8.4446 7.9011
O 13.8854 8.4446 10.6258
O 14.0460 8.6052 1.3623
O 14.0460 8.6052 17.1646
```